(1)
LiNi2O4 | PBE+U | relaxed

Calculated values
space group	R-3 (148)
offset from the most stable computed form	0.009	eV per atom

Cell: 5.736 5.736 5.736 Å, 60.09 60.09 60.09°
Positions (direct):
Li  0.128  0.128  0.128
Li  0.872  0.872  0.872
Ni  0.000  0.500  0.500
Ni  0.500  0.000  0.500
Ni  0.500  0.500  0.000
Ni  0.500  0.500  0.500
O  0.249  0.712  0.288
O  0.266  0.266  0.266
O  0.288  0.249  0.712
O  0.288  0.712  0.751
O  0.712  0.288  0.249
O  0.712  0.751  0.288
O  0.734  0.734  0.734
O  0.751  0.288  0.712

=====

(2)
Li4Mn5CoO12 | PBE+U | relaxed

Calculated values
space group	C2/m (12)
offset from the most stable computed form	0.011	eV per atom

Cell: 5.145 5.145 10.309 Å, 90.66 90.66 120.19°
Positions (direct):
Li  0.156  0.661  0.751
Li  0.339  0.844  0.249
Li  0.661  0.156  0.751
Li  0.844  0.339  0.249
Mn  0.000  0.000  0.500
Mn  0.164  0.836  0.000
Mn  0.336  0.664  0.500
Mn  0.664  0.336  0.500
Mn  0.836  0.164  0.000
Co  0.500  0.500  0.000
O  0.018  0.654  0.393
O  0.141  0.509  0.105
O  0.145  0.145  0.904
O  0.323  0.323  0.407
O  0.346  0.982  0.607
O  0.491  0.859  0.895
O  0.509  0.141  0.105
O  0.654  0.018  0.393
O  0.677  0.677  0.593
O  0.855  0.855  0.096
O  0.859  0.491  0.895
O  0.982  0.346  0.607

=====

(3)
K2CoH12Se2O14 | PBE+U | relaxed

Calculated values
space group	P2_1/c (14)
offset from the most stable computed form	0.000	eV per atom

Cell: 6.426 12.669 9.317 Å, 90.00 103.81 90.00°
Positions (direct):
K  0.153  0.150  0.371
K  0.153  0.350  0.871
K  0.847  0.650  0.129
K  0.847  0.850  0.629
Co  0.500  0.000  0.000
Co  0.500  0.500  0.500
H  0.171  0.638  0.474
H  0.171  0.862  0.974
H  0.178  0.561  0.611
H  0.178  0.939  0.111
H  0.185  0.087  0.789
H  0.185  0.413  0.289
H  0.405  0.128  0.756
H  0.405  0.372  0.256
H  0.426  0.601  0.234
H  0.426  0.899  0.734
H  0.498  0.185  0.138
H  0.498  0.315  0.638
H  0.502  0.685  0.362
H  0.502  0.815  0.862
H  0.574  0.101  0.266
H  0.574  0.399  0.766
H  0.595  0.628  0.744
H  0.595  0.872  0.244
H  0.815  0.587  0.711
H  0.815  0.913  0.211
H  0.822  0.061  0.889
H  0.822  0.439  0.389
H  0.829  0.138  0.026
H  0.829  0.362  0.526
Se  0.231  0.642  0.910
Se  0.231  0.858  0.410
Se  0.769  0.142  0.590
Se  0.769  0.358  0.090
O  0.070  0.747  0.904
O  0.070  0.753  0.404
O  0.112  0.558  0.775
O  0.112  0.942  0.275
O  0.216  0.566  0.514
O  0.216  0.934  0.014
O  0.254  0.579  0.071
O  0.254  0.921  0.571
O  0.331  0.112  0.836
O  0.331  0.388  0.336
O  0.473  0.112  0.167
O  0.473  0.388  0.667
O  0.473  0.679  0.888
O  0.473  0.821  0.388
O  0.527  0.179  0.612
O  0.527  0.321  0.112
O  0.527  0.612  0.333
O  0.527  0.888  0.833
O  0.669  0.612  0.664
O  0.669  0.888  0.164
O  0.746  0.079  0.429
O  0.746  0.421  0.929
O  0.784  0.066  0.986
O  0.784  0.434  0.486
O  0.888  0.058  0.725
O  0.888  0.442  0.225
O  0.930  0.247  0.596
O  0.930  0.253  0.096

=====

(4)
LiNi4P7O24 | PBE+U | relaxed

Calculated values
space group	P-1 (2)

Cell: 10.305 10.382 10.648 Å, 111.38 107.72 105.04°
Positions (direct):
Li  0.151  0.044  0.078
Li  0.849  0.956  0.922
Ni  0.101  0.997  0.756
Ni  0.170  0.519  0.081
Ni  0.338  0.993  0.620
Ni  0.381  0.501  0.577
Ni  0.619  0.499  0.423
Ni  0.662  0.007  0.380
Ni  0.830  0.481  0.919
Ni  0.899  0.003  0.244
P  0.041  0.766  0.252
P  0.058  0.297  0.235
P  0.181  0.233  0.623
P  0.223  0.737  0.726
P  0.374  0.304  0.067
P  0.388  0.755  0.020
P  0.459  0.744  0.448
P  0.541  0.256  0.552
P  0.612  0.245  0.980
P  0.626  0.696  0.933
P  0.777  0.263  0.274
P  0.819  0.767  0.377
P  0.942  0.703  0.765
P  0.959  0.234  0.748
O  0.010  0.879  0.856
O  0.017  0.880  0.197
O  0.030  0.626  0.126
O  0.061  0.652  0.712
O  0.077  0.149  0.454
O  0.087  0.369  0.141
O  0.094  0.302  0.713
O  0.185  0.850  0.397
O  0.201  0.353  0.376
O  0.214  0.119  0.676
O  0.218  0.870  0.698
O  0.244  0.643  0.994
O  0.257  0.622  0.625
O  0.264  0.135  0.976
O  0.309  0.412  0.036
O  0.318  0.369  0.669
O  0.328  0.668  0.293
O  0.341  0.815  0.900
O  0.402  0.140  0.540
O  0.433  0.346  0.233
O  0.438  0.850  0.578
O  0.485  0.893  0.171
O  0.486  0.667  0.972
O  0.488  0.618  0.480
O  0.512  0.382  0.520
O  0.514  0.333  0.028
O  0.515  0.107  0.829
O  0.562  0.150  0.422
O  0.567  0.654  0.767
O  0.598  0.860  0.460
O  0.659  0.185  0.100
O  0.672  0.332  0.707
O  0.682  0.631  0.331
O  0.691  0.588  0.964
O  0.736  0.865  0.024
O  0.743  0.378  0.375
O  0.756  0.357  0.006
O  0.782  0.130  0.302
O  0.786  0.881  0.324
O  0.799  0.647  0.624
O  0.815  0.150  0.603
O  0.906  0.698  0.287
O  0.913  0.631  0.859
O  0.923  0.851  0.546
O  0.939  0.348  0.288
O  0.970  0.374  0.874
O  0.983  0.120  0.803
O  0.990  0.121  0.144

=====

(5)
Li2Co2Si2O7 | PBE+U | relaxed

Calculated values
space group	Ama2 (40)
offset from the most stable computed form	0.020	eV per atom

Cell: 13.399 5.430 5.430 Å, 126.03 90.00 90.00°
Positions (direct):
Li  0.000  0.000  0.000
Li  0.250  0.997  0.990
Li  0.500  0.000  0.000
Li  0.750  0.990  0.997
Co  0.081  0.354  0.800
Co  0.419  0.354  0.800
Co  0.581  0.800  0.354
Co  0.919  0.800  0.354
Si  0.138  0.659  0.456
Si  0.362  0.659  0.456
Si  0.638  0.456  0.659
Si  0.862  0.456  0.659
O  0.062  0.910  0.476
O  0.124  0.322  0.136
O  0.126  0.666  0.759
O  0.250  0.803  0.480
O  0.374  0.666  0.759
O  0.376  0.322  0.136
O  0.438  0.910  0.476
O  0.562  0.476  0.910
O  0.624  0.136  0.322
O  0.626  0.759  0.666
O  0.750  0.480  0.803
O  0.874  0.759  0.666
O  0.876  0.136  0.322
O  0.938  0.476  0.910

=====

(6)
MgCo5SbO8 | PBE+U | relaxed

Calculated values
space group	C2/m (12)
offset from the most stable computed form	0.000	eV per atom

Cell: 6.091 6.091 6.591 Å, 120.45 120.45 59.68°
Positions (direct):
Mg  0.000  0.000  0.000
Co  0.000  0.500  0.000
Co  0.188  0.188  0.466
Co  0.500  0.000  0.000
Co  0.500  0.500  0.500
Co  0.812  0.812  0.534
Sb  0.500  0.500  0.000
O  0.252  0.734  0.775
O  0.256  0.256  0.232
O  0.266  0.266  0.810
O  0.266  0.748  0.225
O  0.734  0.252  0.775
O  0.734  0.734  0.190
O  0.744  0.744  0.768
O  0.748  0.266  0.225

=====

(7)
Ba6Na2V2Ru2O17 | PBE+U | relaxed

Calculated values
space group	P6_3/mmc (194)

Cell: 5.944 5.944 30.211 Å, 90.00 90.00 120.00°
Positions (direct):
Ba  0.000  0.000  0.000
Ba  0.000  0.000  0.250
Ba  0.000  0.000  0.500
Ba  0.000  0.000  0.750
Ba  0.333  0.667  0.093
Ba  0.333  0.667  0.407
Ba  0.333  0.667  0.681
Ba  0.333  0.667  0.819
Ba  0.667  0.333  0.181
Ba  0.667  0.333  0.319
Ba  0.667  0.333  0.593
Ba  0.667  0.333  0.907
Na  0.000  0.000  0.124
Na  0.000  0.000  0.376
Na  0.000  0.000  0.624
Na  0.000  0.000  0.876
V  0.333  0.667  0.552
V  0.333  0.667  0.948
V  0.667  0.333  0.052
V  0.667  0.333  0.448
Ru  0.333  0.667  0.204
Ru  0.333  0.667  0.296
Ru  0.667  0.333  0.704
Ru  0.667  0.333  0.796
O  0.028  0.514  0.250
O  0.175  0.349  0.573
O  0.175  0.349  0.927
O  0.175  0.825  0.573
O  0.175  0.825  0.927
O  0.177  0.354  0.170
O  0.177  0.354  0.330
O  0.177  0.823  0.170
O  0.177  0.823  0.330
O  0.333  0.667  0.005
O  0.333  0.667  0.495
O  0.349  0.175  0.073
O  0.349  0.175  0.427
O  0.354  0.177  0.670
O  0.354  0.177  0.830
O  0.486  0.514  0.250
O  0.486  0.972  0.250
O  0.514  0.028  0.750
O  0.514  0.486  0.750
O  0.646  0.823  0.170
O  0.646  0.823  0.330
O  0.651  0.825  0.573
O  0.651  0.825  0.927
O  0.667  0.333  0.505
O  0.667  0.333  0.995
O  0.823  0.177  0.670
O  0.823  0.177  0.830
O  0.823  0.646  0.670
O  0.823  0.646  0.830
O  0.825  0.175  0.073
O  0.825  0.175  0.427
O  0.825  0.651  0.073
O  0.825  0.651  0.427
O  0.972  0.486  0.750

=====

(8)
Li4Ti3Fe3Ni2O16 | PBE+U | relaxed

Calculated values
space group	Cm (8)

Cell: 5.916 5.916 9.654 Å, 90.45 90.45 60.05°
Positions (direct):
Li  0.000  0.000  0.000
Li  0.000  0.000  0.499
Li  0.326  0.326  0.391
Li  0.660  0.660  0.894
Ti  0.162  0.656  0.716
Ti  0.656  0.162  0.716
Ti  0.824  0.824  0.217
Fe  0.163  0.163  0.715
Fe  0.333  0.825  0.215
Fe  0.825  0.333  0.215
Ni  0.330  0.330  0.991
Ni  0.661  0.661  0.491
O  0.033  0.474  0.834
O  0.157  0.157  0.109
O  0.160  0.676  0.106
O  0.315  0.839  0.608
O  0.336  0.336  0.602
O  0.474  0.033  0.834
O  0.476  0.476  0.834
O  0.509  0.956  0.334
O  0.513  0.513  0.332
O  0.670  0.670  0.100
O  0.676  0.160  0.106
O  0.834  0.834  0.605
O  0.839  0.315  0.608
O  0.956  0.509  0.334
O  0.989  0.989  0.315
O  0.990  0.990  0.816

=====

Number 1: calculated total energy -4.8401 eV per atom, ΔE_f -1207 meV/atom. Number 2: calculated total energy -6.5628 eV per atom, ΔE_f -1940 meV/atom. Number 3: calculated total energy -5.1124 eV per atom, ΔE_f -1401 meV/atom. Number 4: calculated total energy -6.4710 eV per atom, ΔE_f -2165 meV/atom. Number 5: calculated total energy -6.6959 eV per atom, ΔE_f -2432 meV/atom. Number 6: calculated total energy -5.8831 eV per atom, ΔE_f -1405 meV/atom. Number 7: calculated total energy -6.7366 eV per atom, ΔE_f -2602 meV/atom. Number 8: calculated total energy -6.6636 eV per atom, ΔE_f -2213 meV/atom.